1.
A plane-wave DFT calculation with PBE was carried out for a geometry-optimized Zr3Si6N11 structure.

Lattice parameters (Å, degrees): 9.865 9.865 4.853 90.00 90.00 90.00
Fractional positions:
Zr: 0.000 0.000 0.000
Zr: 0.187 0.313 0.982
Zr: 0.313 0.813 0.982
Zr: 0.500 0.500 0.000
Zr: 0.687 0.187 0.982
Zr: 0.813 0.687 0.982
Si: 0.085 0.799 0.549
Si: 0.120 0.620 0.060
Si: 0.201 0.085 0.549
Si: 0.299 0.585 0.549
Si: 0.380 0.120 0.060
Si: 0.415 0.299 0.549
Si: 0.585 0.701 0.549
Si: 0.620 0.880 0.060
Si: 0.701 0.415 0.549
Si: 0.799 0.915 0.549
Si: 0.880 0.380 0.060
Si: 0.915 0.201 0.549
N: 0.000 0.500 0.086
N: 0.072 0.181 0.694
N: 0.084 0.782 0.195
N: 0.162 0.662 0.718
N: 0.181 0.928 0.694
N: 0.218 0.084 0.195
N: 0.282 0.584 0.195
N: 0.319 0.428 0.694
N: 0.338 0.162 0.718
N: 0.416 0.282 0.195
N: 0.428 0.681 0.694
N: 0.500 0.000 0.086
N: 0.572 0.319 0.694
N: 0.584 0.718 0.195
N: 0.662 0.838 0.718
N: 0.681 0.572 0.694
N: 0.718 0.416 0.195
N: 0.782 0.916 0.195
N: 0.819 0.072 0.694
N: 0.838 0.338 0.718
N: 0.916 0.218 0.195
N: 0.928 0.819 0.694

Properties
Raw total energy = -169.53 eV/f.u.
Mass density = 4.193 Mg/m³
Energy of formation from the pure elements = -1.180 eV/atom
Spin magnetization = 0.050 μB/atom
MP2020-corrected energy = -8.675 eV per atom

2.
A plane-wave DFT calculation with PBE was carried out for a geometry-optimized CaCu3Ir4O12 structure.

Lattice parameters (Å, degrees): 6.520 6.520 6.520 109.47 109.47 109.47
Fractional positions:
Ca: 0.000 0.000 0.000
Cu: 0.000 0.500 0.500
Cu: 0.500 0.000 0.500
Cu: 0.500 0.500 0.000
Ir: 0.000 0.000 0.500
Ir: 0.000 0.500 0.000
Ir: 0.500 0.000 0.000
Ir: 0.500 0.500 0.500
O: 0.136 0.305 0.831
O: 0.169 0.474 0.305
O: 0.169 0.864 0.695
O: 0.305 0.169 0.474
O: 0.305 0.831 0.136
O: 0.474 0.305 0.169
O: 0.526 0.695 0.831
O: 0.695 0.169 0.864
O: 0.695 0.831 0.526
O: 0.831 0.136 0.305
O: 0.831 0.526 0.695
O: 0.864 0.695 0.169

Properties
Raw total energy = -126.98 eV/f.u.
Mass density = 9.272 Mg/m³
Energy of formation from the pure elements = -1.310 eV/atom
Spin magnetization = 0.001 μB/atom
MP2020-corrected energy = -6.761 eV per atom

3.
A plane-wave DFT calculation with PBE was carried out for a geometry-optimized ZrSnIr structure.

Lattice parameters (Å, degrees): 7.409 7.409 7.398 90.00 90.00 120.00
Fractional positions:
Zr: 0.020 0.406 0.250
Zr: 0.385 0.980 0.250
Zr: 0.406 0.020 0.750
Zr: 0.594 0.615 0.250
Zr: 0.615 0.594 0.750
Zr: 0.980 0.385 0.750
Sn: 0.000 0.730 0.000
Sn: 0.000 0.730 0.500
Sn: 0.270 0.270 0.000
Sn: 0.270 0.270 0.500
Sn: 0.730 0.000 0.000
Sn: 0.730 0.000 0.500
Ir: 0.000 0.000 0.250
Ir: 0.000 0.000 0.750
Ir: 0.333 0.667 0.537
Ir: 0.333 0.667 0.963
Ir: 0.667 0.333 0.037
Ir: 0.667 0.333 0.463

Properties
Raw total energy = -23.64 eV/f.u.
Mass density = 11.392 Mg/m³
Energy of formation from the pure elements = -0.749 eV/atom